(1)
16
Lattice="-1.7778 0.6890 5.9188 5.1223 -3.7569 -0.3459 3.8549 5.3719 0.3709" Properties=species:S:1:pos:R:3 comment="IF7 GGA-PBE relaxed" sg="P1, No. 1" magmom_total_mub_per_cell=0.00 relative_energy_mev_per_atom=217 pbc="T T T"
I 3.2183 5.1839 6.1868
I 4.2232 1.1133 2.6566
F 1.0168 1.5142 4.1007
F 2.3325 3.5089 5.9970
F 0.1629 1.3953 2.9505
F 2.5816 1.7539 1.9343
F 4.3140 4.4323 4.7578
F 3.9646 4.3531 1.9010
F 3.6858 1.7285 4.3769
F 3.7539 -2.6620 0.7316
F 6.2459 2.4097 1.7596
F 7.1312 1.8659 4.4935
F 5.5735 0.1074 3.4963
F 3.1631 -0.3586 3.1068
F 0.7731 1.0475 0.1835
F 4.4865 0.0922 1.0519

=====

(2)
8
Lattice="-0.8799 -6.8831 -2.7304 -5.3452 -3.2186 4.0836 0.0231 6.5738 -3.5202" Properties=species:S:1:pos:R:3 comment="MnCdTe2 GGA-PBE relaxed" sg="I-42d, No. 122" magmom_total_mub_per_cell=9.54 pbc="T T T"
Mn -1.9846 -2.6801 -2.7870
Mn 0.0000 0.0000 0.0000
Cd -4.2173 -0.8478 0.6200
Cd -3.1125 -5.0509 0.6766
Te -3.9282 -3.0444 -1.2727
Te -0.7175 2.0419 -1.2325
Te -2.4461 -0.8483 -4.4102
Te -5.3122 -5.2051 2.5815

=====

(3)
16
Lattice="2.7965 -4.8436 0.0000 2.7965 4.8436 0.0000 0.0000 0.0000 9.1095" Properties=species:S:1:pos:R:3 comment="TiPt3 GGA-PBE relaxed" sg="P6_3/mmc, No. 194" pbc="T T T"
Ti 0.0000 0.0000 4.5547
Ti 0.0000 0.0000 0.0000
Ti 2.7965 1.6145 2.2774
Ti 2.7965 -1.6145 6.8321
Pt 2.7965 0.0000 4.5547
Pt 1.3982 -2.4218 4.5547
Pt 1.3982 2.4218 4.5547
Pt 2.7965 0.0000 0.0000
Pt 1.3982 -2.4218 0.0000
Pt 1.3982 2.4218 0.0000
Pt 4.1955 -0.8068 2.2774
Pt 1.3975 -0.8068 2.2774
Pt 2.7965 -3.2300 2.2774
Pt 1.3975 0.8068 6.8321
Pt 4.1955 0.8068 6.8321
Pt 2.7965 3.2300 6.8321

=====

(4)
42
Lattice="6.7931 0.0000 0.0000 -2.8752 7.2749 0.0000 -1.9006 -2.2455 9.8130" Properties=species:S:1:pos:R:3 comment="H9RhC5NO5 GGA-PBE relaxed" sg="P-1, No. 2" magmom_total_mub_per_cell=0.00 pbc="T T T"
H 1.7905 4.5157 1.3271
H 0.2268 0.5138 8.4859
H -2.1476 2.4515 9.2891
H 4.1650 2.5779 0.5239
H -1.1774 4.6767 7.1129
H 3.1947 0.3528 2.7002
H 0.8736 4.3724 4.1149
H 1.1437 0.6571 5.6981
H -0.2204 3.0406 3.6432
H 2.2377 1.9888 6.1698
H -0.5506 4.7088 3.0798
H 2.5680 0.3207 6.7333
H -2.9070 4.6292 5.8983
H 4.9243 0.4003 3.9147
H -2.6353 5.3848 4.2971
H 4.6526 -0.3553 5.5159
H 3.9633 3.6134 4.4404
H -1.9460 1.4161 5.3726
Rh 1.5935 4.8183 8.6910
Rh 0.4239 0.2112 1.1220
C 2.4012 5.3533 0.9414
C -0.3838 -0.3238 8.8716
C -2.9155 3.2335 9.4319
C 4.9329 1.7959 0.3811
C -0.4273 4.4948 6.3201
C 2.4446 0.5346 3.4929
C -0.1703 4.1060 3.9160
C 2.1877 0.9235 5.8971
C -2.4167 4.5097 4.9255
C 4.4341 0.5198 4.8875
N -0.9765 4.3702 5.1033
N 2.9938 0.6593 4.7097
O 0.4256 3.3154 9.4982
O 1.5918 1.7140 0.3149
O -3.6904 3.4395 8.4422
O 5.7078 1.5900 1.3708
O -1.0805 -0.9511 8.0088
O 3.0979 5.9806 1.8043
O 3.0265 -1.0318 9.0607
O -1.0091 6.0613 0.7523
O 0.8010 4.4245 6.5576
O 1.2164 0.6050 3.2555

=====

(5)
6
Lattice="3.8902 -0.7513 -0.0794 0.9452 4.8081 0.8185 0.4217 1.6918 4.6520" Properties=species:S:1:pos:R:3 comment="SmCo5 GGA-PBE relaxed" sg="P6/mmm, No. 191" magmom_total_mub_per_cell=7.11 pbc="T T T"
Sm 0.0000 0.0000 0.0000
Co 0.4556 2.1666 1.8235
Co 0.9113 4.3332 3.6470
Co 2.1559 0.4703 2.2863
Co 2.6285 2.8743 2.6955
Co 2.4177 2.0284 0.3696

=====

(6)
34
Lattice="-5.2395 -5.1970 5.2433 -5.3532 5.2393 -5.3119 5.2802 -5.2500 -5.2510" Properties=species:S:1:pos:R:3 comment="MgAlBi12O20 GGA-PBE relaxed" sg="P1, No. 1" relative_energy_mev_per_atom=22 pbc="T T T"
Mg 0.1433 -2.0794 -1.1475
Al -0.1136 -10.1933 0.0313
Bi -5.2074 -3.3768 -1.8862
Bi -0.1450 -1.8773 -7.7431
Bi -5.3582 -3.1974 1.9759
Bi -1.7464 -4.9608 -3.2666
Bi 0.0136 -1.7599 -4.0969
Bi -7.3491 -0.3395 -1.8087
Bi 2.1239 -5.3226 -3.3334
Bi -3.2355 0.2435 -1.8404
Bi -3.4434 -2.1800 -5.1220
Bi -3.2259 1.4322 -5.1676
Bi -2.0642 -3.5801 0.2312
Bi -1.8154 -7.1798 -0.1028
O -1.1281 -0.5937 -1.2125
O -4.2459 -3.9887 -6.1568
O -4.7769 3.9921 -4.5567
O -6.4615 -4.0563 -4.1264
O -5.5470 -1.3910 -2.5133
O -4.8600 1.4306 -3.0194
O 0.1390 -6.3944 -2.6713
O -2.5502 -5.3435 -1.3102
O -0.3770 -3.3970 -2.6082
O -2.6621 -5.2446 1.4388
O -2.4444 0.0506 -6.6756
O -2.5057 -0.1986 -3.8356
O -1.3866 -2.7741 -5.4354
O -6.6459 -2.6797 0.2352
O -3.9528 -2.7242 -0.1008
O 1.4788 -2.8722 -5.1889
O -3.3919 -3.3171 -3.2453
O -2.1114 -2.0646 2.0115
O -1.9652 -8.3350 -2.0225
O -3.4172 3.2050 -7.2215

=====

(7)
10
Lattice="-3.7833 -3.8993 5.3397 -6.5092 -3.5422 -1.7647 -0.2383 -7.6085 -0.2910" Properties=species:S:1:pos:R:3 comment="Rb2YAgCl6 GGA-PBE relaxed" sg="Fm-3m, No. 225" magmom_total_mub_per_cell=0.00 pbc="T T T"
Rb -7.8981 -11.2875 2.4630
Rb -2.6327 -3.7625 0.8210
Y -5.2654 -7.5250 1.6420
Ag 0.0000 0.0000 0.0000
Cl -4.5393 -5.7487 3.4535
Cl -2.8026 -7.5659 0.6950
Cl -5.9915 -9.3012 -0.1695
Cl -5.8747 -5.5738 -0.0270
Cl -4.6560 -9.4762 3.3110
Cl -7.7282 -7.4841 2.5890

=====

(8)
80
Lattice="8.0397 -0.0374 4.8432 2.7222 7.5652 4.8412 -0.1086 -0.0808 18.7459" Properties=species:S:1:pos:R:3 comment="Na13Zr7Si5P7O48 GGA-PBE relaxed" sg="P1, No. 1" magmom_total_mub_per_cell=0.00 relative_energy_mev_per_atom=9 pbc="T T T"
Na 0.1830 0.1082 0.3421
Na 1.6225 1.1327 2.8874
Na 2.0098 2.8184 9.4014
Na 5.0841 5.9323 6.8864
Na 6.7186 1.0408 7.9231
Na 4.3761 6.6391 11.1457
Na 5.5919 1.8132 12.4494
Na 1.9982 2.6844 19.2809
Na 8.6951 4.4100 9.4820
Na 4.9747 5.6364 15.9013
Na 6.2466 0.7559 17.1750
Na 4.3204 6.5237 20.6198
Na 5.4021 1.8716 21.7011
Zr 3.8217 2.6686 6.7331
Zr 1.5081 1.0576 12.1639
Zr 3.6973 2.6260 16.1779
Zr 6.9184 4.8595 12.3851
Zr 9.1524 6.3703 16.2550
Zr 6.9713 4.8498 21.6356
Zr 9.0390 6.3061 25.5868
Si 2.3270 5.6176 8.1433
Si 3.7822 0.2411 9.4553
Si 7.2387 3.4512 6.1390
Si 2.3208 5.6287 17.5501
Si 3.7230 0.2058 18.7749
P 3.4276 4.0494 12.8433
P 7.0141 7.1729 9.5951
P 8.2978 1.8111 10.9695
P 7.2008 3.4276 15.6275
P 3.3834 4.0838 22.1593
P 6.8868 7.2264 18.9580
P 8.2986 1.7695 20.3034
O 1.6934 2.0047 6.7074
O 3.5394 3.8089 4.9363
O 2.9299 6.8496 7.3396
O 4.4006 0.9011 5.6133
O 2.1909 5.8415 9.7904
O 3.1796 4.2218 7.9176
O 2.4750 0.5596 10.4194
O 4.0115 1.5119 8.4638
O 5.7274 3.3507 6.8090
O 2.7475 2.8011 12.2120
O 2.6132 5.3271 12.5614
O 5.8175 7.1971 8.6775
O 5.1132 0.0018 10.3885
O 1.6884 2.0301 16.0563
O 8.0483 2.0871 6.3035
O 7.9768 4.7577 6.8968
O 4.8259 4.1879 12.1664
O 3.6175 3.8282 14.3624
O 6.8573 5.9207 10.5495
O 3.0472 6.9628 16.9091
O 4.3961 0.9333 14.9862
O 8.3863 7.0236 8.8352
O 2.2041 5.7698 19.1834
O 3.2617 4.3328 17.1999
O 7.3753 3.0011 11.4057
O 8.2928 1.7593 9.4602
O 2.3326 0.3606 19.5328
O 6.1531 6.4178 13.4826
O 7.6963 0.5175 11.6426
O 4.0690 1.5516 17.8456
O 7.0870 3.5412 14.0963
O 5.8024 3.1965 16.2474
O 2.7752 2.9462 21.3737
O 2.5420 5.4189 22.0721
O 8.8278 5.2641 12.4882
O 5.6270 7.4956 18.0722
O 5.0594 0.0067 19.7670
O 8.1050 2.2029 15.9458
O 7.8046 4.7202 16.2173
O 4.8056 4.3715 21.5823
O 6.5674 5.9808 19.7865
O 8.1274 7.0463 18.0590
O 7.3631 2.9611 20.5450
O 8.4491 1.5070 18.7834
O 6.3972 6.5240 22.5684
O 7.7161 0.5072 21.0143
O 6.9964 3.7325 23.2921
O 8.8931 5.4924 21.7162

=====

(9)
27
Lattice="22.3151 -6.5371 2.6425 3.5387 5.3123 -1.4382 11.2840 -7.5580 6.4341" Properties=species:S:1:pos:R:3 comment="V11S16 GGA-PBE relaxed" sg="P1, No. 1" magmom_total_mub_per_cell=11.00 pbc="T T T"
V 8.4088 3.5169 -0.5627
V 16.4222 -6.6457 5.8447
V 22.4750 -10.5660 7.6598
V 24.8570 -4.9741 3.5594
V 13.4427 0.2852 1.2941
V 18.1211 -5.0648 2.1455
V 8.8683 -1.0868 2.1048
V 28.5915 -6.4905 5.7328
V 23.7659 -9.1474 5.6409
V 11.6359 -3.4958 4.4900
V 20.5293 -3.7421 2.2535
S 22.8628 -4.1247 2.3561
S 12.5476 -7.0628 5.7848
S 18.7827 -3.4274 3.8300
S 6.9341 2.0601 0.3971
S 6.8624 -1.9916 1.8547
S 26.6840 -6.2820 4.2280
S 21.3750 -8.6622 6.6126
S 23.9950 -6.7874 5.6682
S 13.3003 -1.9796 1.3922
S 15.8336 0.5582 1.1759
S 9.9513 -2.6742 3.1513
S 27.3183 -11.3974 7.7395
S 8.1527 -4.8133 4.2529
S 20.9214 -1.4063 2.3313
S 20.3557 -5.9947 2.6060
S 3.8161 2.7354 -0.5607

=====

(10)
4
Lattice="3.3713 0.0000 0.0000 0.0000 3.3713 0.0000 0.0000 0.0000 5.8958" Properties=species:S:1:pos:R:3 comment="InPd3 GGA-PBE relaxed" sg="P4/mmm, No. 123" magmom_total_mub_per_cell=0.01 pbc="T T T"
In 0.0000 0.0000 0.0000
Pd 1.6857 1.6857 1.4703
Pd 1.6857 1.6857 4.4255
Pd 0.0000 0.0000 2.9479

=====

(11)
47
Lattice="2.8907 6.8711 0.0000 -2.8907 6.8711 0.0000 0.0000 5.5010 14.2724" Properties=species:S:1:pos:R:3 comment="La4Ti9Si4O30 GGA-PBE relaxed" sg="C2/m, No. 12" magmom_total_mub_per_cell=4.01 pbc="T T T"
La 0.0000 13.9813 4.4751
La 0.0000 10.1149 4.4029
La 0.0000 5.2618 9.7973
La 0.0000 9.1283 9.8695
Ti 0.0000 8.3431 1.6692
Ti -1.5314 14.0800 12.7079
Ti 0.0000 17.2703 12.5693
Ti 0.0000 2.7505 7.1362
Ti -1.5314 5.1631 1.5645
Ti 1.5314 14.0800 12.7079
Ti 0.0000 10.9000 12.6033
Ti 1.5314 5.1631 1.5645
Ti 0.0000 1.9728 1.7031
Si 0.0000 14.1496 9.6714
Si 0.0000 5.0936 4.6010
Si 0.0000 11.5938 7.6284
Si 0.0000 7.6493 6.6440
O 1.4407 10.6623 11.1860
O -1.3789 14.0649 10.5482
O 0.0000 13.4053 1.9187
O 0.0000 12.7406 12.6119
O 0.0000 10.6493 1.9162
O 0.0000 6.3856 5.5972
O 0.0000 5.8378 12.3537
O 0.0000 15.4261 12.5612
O -1.4614 10.6448 13.9163
O -1.4614 8.5984 0.3562
O 0.0000 6.5025 1.6605
O 1.4614 10.6448 13.9163
O 1.3789 5.1782 3.7242
O -1.4407 10.6623 11.1860
O 0.0000 12.8575 8.6752
O -1.3505 10.7452 8.0890
O 1.3505 10.7452 8.0890
O 1.3505 8.4980 6.1834
O 0.0000 3.8170 1.7112
O 0.0000 15.5307 8.8160
O -1.3505 8.4980 6.1834
O 0.0000 8.5938 12.3563
O 0.0000 3.7125 5.4564
O -1.4407 8.5809 3.0864
O 0.0000 7.2340 8.1957
O 0.0000 12.0091 6.0768
O 1.4614 8.5984 0.3562
O -1.3789 5.1782 3.7242
O 1.4407 8.5809 3.0864
O 1.3789 14.0649 10.5482

=====

(12)
36
Lattice="7.0381 0.0000 0.0000 0.0000 7.2109 0.0000 0.0000 0.0000 13.6513" Properties=species:S:1:pos:R:3 comment="Tb2Nb3Ge4 GGA-PBE relaxed" sg="Pnma, No. 62" pbc="T T T"
Tb 3.5015 2.3557 1.2961
Tb 7.0205 1.2498 5.5295
Tb 3.5367 4.8553 8.1218
Tb 0.0176 5.9611 12.3552
Tb 3.5367 4.8553 12.3552
Tb 0.0176 5.9611 8.1218
Tb 3.5015 2.3557 5.5295
Tb 7.0205 1.2498 1.2961
Nb 4.6748 0.0919 10.2385
Nb 1.1557 3.5136 10.2385
Nb 2.3633 7.1191 3.4128
Nb 5.8824 3.6973 3.4128
Nb 5.9102 2.3702 8.5528
Nb 2.3911 1.2352 11.9243
Nb 1.1280 4.8407 1.7271
Nb 4.6471 5.9757 5.0986
Nb 1.1280 4.8407 5.0986
Nb 4.6471 5.9757 1.7271
Nb 5.9102 2.3702 11.9243
Nb 2.3911 1.2352 8.5528
Ge 5.6630 4.5886 10.2385
Ge 2.1440 6.2279 10.2385
Ge 1.3751 2.6224 3.4128
Ge 4.8942 0.9831 3.4128
Ge 3.7992 2.7160 10.2385
Ge 0.2801 0.8895 10.2385
Ge 3.2390 4.4949 3.4128
Ge 6.7580 6.3215 3.4128
Ge 4.7367 0.2812 7.3980
Ge 1.2176 3.3243 13.0790
Ge 2.3014 6.9298 0.5723
Ge 5.8205 3.8866 6.2533
Ge 2.3014 6.9298 6.2533
Ge 5.8205 3.8866 0.5723
Ge 4.7367 0.2812 13.0790
Ge 1.2176 3.3243 7.3980

=====

Number 1: energy -2.9357 eV per atom, energy relative to the elements -11.8 eV/f.u.. Number 2: energy -4.1728 eV per atom, energy relative to the elements -1.2 eV/f.u.. Number 3: energy -7.3734 eV per atom, energy relative to the elements -3.4 eV/f.u.. Number 4: energy -6.0980 eV per atom, energy relative to the elements -14.4 eV/f.u.. Number 5: energy -6.7762 eV per atom, energy relative to the elements -0.4 eV/f.u.. Number 6: energy -5.7599 eV per atom, energy relative to the elements -58.6 eV/f.u.. Number 7: energy -4.0443 eV per atom, energy relative to the elements -21.8 eV/f.u.. Number 8: energy -7.3621 eV per atom, energy relative to the elements -242.4 eV/f.u.. Number 9: energy -6.8136 eV per atom, energy relative to the elements -25.9 eV/f.u.. Number 10: energy -4.9222 eV per atom, energy relative to the elements -1.4 eV/f.u.. Number 11: energy -8.6512 eV per atom, energy relative to the elements -166.3 eV/f.u.. Number 12: energy -7.1917 eV per atom, energy relative to the elements -6.7 eV/f.u..